Entry 1:
An optimized crystal structure of Nd3GaC, computed with PBE.

As for the formation energy: 1.21 eV/atom. Its space group is Pm-3m. The total magnetization comes out at 0.001 μB/f.u.

a b c (Å): 5.5029 5.5029 5.5029
angles (deg): 90.00 90.00 90.00
Closest atoms and distances in Å follow each position.
Element x y z (fractional)
1 Nd 0.5000 0.5000 0.0000  2 Ga 2.75
2 Nd 0.5000 0.0000 0.5000  2 Ga 2.75
3 Nd 0.0000 0.5000 0.5000  2 Ga 2.75
4 Ga 0.5000 0.5000 0.5000  6 Nd 2.75
5 C 0.0000 0.0000 0.0000  12 Nd 3.89

---

Entry 2:
An optimized crystal structure of Re3Pb2Se6, computed with PBE.

As for the formation energy: -0.56 eV/atom. Its space group is C2/c. The total magnetization comes out at 0.001 μB/f.u. The corrected total energy (MP2020 scheme) comes out at -6.54 eV per atom.

a b c (Å): 10.0677 10.0677 12.4370
angles (deg): 91.40 91.40 59.47
Closest atoms and distances in Å follow each position.
Element x y z (fractional)
1 Re 0.4856 0.1077 0.8732  5 Se 2.54-2.73, 4 Re 2.64-2.68
2 Re 0.5144 0.8923 0.1268  5 Se 2.54-2.73, 4 Re 2.64-2.68
3 Re 0.8923 0.5144 0.6268  5 Se 2.54-2.73, 4 Re 2.64-2.68
4 Re 0.1077 0.4856 0.3732  5 Se 2.54-2.73, 4 Re 2.64-2.68
5 Re 0.6025 0.8119 0.9227  5 Se 2.53-2.70, 4 Re 2.64-2.68
6 Re 0.3975 0.1881 0.0773  5 Se 2.53-2.70, 4 Re 2.64-2.68
7 Re 0.1881 0.3975 0.5773  5 Se 2.53-2.70, 4 Re 2.64-2.68
8 Re 0.8119 0.6025 0.4227  5 Se 2.53-2.70, 4 Re 2.64-2.68
9 Re 0.3118 0.0159 0.9630  5 Se 2.54-2.58, 4 Re 2.64-2.68
10 Re 0.6882 0.9841 0.0370  5 Se 2.54-2.58, 4 Re 2.64-2.68
11 Re 0.9841 0.6882 0.5370  5 Se 2.54-2.58, 4 Re 2.64-2.68
12 Re 0.0159 0.3118 0.4630  5 Se 2.54-2.58, 4 Re 2.64-2.68
13 Pb 0.4118 0.5882 0.7500  4 Se 3.10-3.46
14 Pb 0.5882 0.4118 0.2500  4 Se 3.10-3.46
15 Pb 0.6637 0.1191 0.4936  2 Se 2.92-3.09
16 Pb 0.3363 0.8809 0.5064  2 Se 2.92-3.09
17 Pb 0.8809 0.3363 0.0064  2 Se 2.92-3.09
18 Pb 0.1191 0.6637 0.9936  2 Se 2.92-3.09
19 Pb 0.8112 0.1888 0.7500  2 Se 2.80
20 Pb 0.1888 0.8112 0.2500  2 Se 2.80
21 Se 0.4062 0.9342 0.7716  3 Re 2.53-2.56
22 Se 0.5938 0.0658 0.2284  3 Re 2.53-2.56
23 Se 0.0658 0.5938 0.7284  3 Re 2.53-2.56
24 Se 0.9342 0.4062 0.2716  3 Re 2.53-2.56
25 Se 0.4551 0.2679 0.6910  2 Re 2.70-2.73
26 Se 0.5449 0.7321 0.3090  2 Re 2.70-2.73
27 Se 0.7321 0.5449 0.8090  2 Re 2.70-2.73
28 Se 0.2679 0.4551 0.1910  2 Re 2.70-2.73
29 Se 0.7666 0.9081 0.8410  3 Re 2.54-2.56
30 Se 0.2334 0.0919 0.1590  3 Re 2.54-2.56
31 Se 0.0919 0.2334 0.6590  3 Re 2.54-2.56
32 Se 0.9081 0.7666 0.3410  3 Re 2.54-2.56
33 Se 0.5740 0.2688 0.9847  3 Re 2.58-2.60
34 Se 0.4260 0.7312 0.0153  3 Re 2.58-2.60
35 Se 0.7312 0.4260 0.5153  3 Re 2.58-2.60
36 Se 0.2688 0.5740 0.4847  3 Re 2.58-2.60
37 Se 0.6981 0.7947 0.5775  3 Re 2.54-2.57
38 Se 0.3019 0.2053 0.4225  3 Re 2.54-2.57
39 Se 0.2053 0.3019 0.9225  3 Re 2.54-2.57
40 Se 0.7947 0.6981 0.0775  3 Re 2.54-2.57
41 Se 0.0564 0.0387 0.8963  1 Re 2.58, 1 Pb 2.80
42 Se 0.9436 0.9613 0.1037  1 Re 2.58, 1 Pb 2.80
43 Se 0.9613 0.9436 0.6037  1 Re 2.58, 1 Pb 2.80
44 Se 0.0387 0.0564 0.3963  1 Re 2.58, 1 Pb 2.80

---

Entry 3:
An optimized crystal structure of BaSrYBiO6, computed with PBE.

As for the formation energy: -2.78 eV/atom. Its space group is F-43m. The total magnetization comes out at 0.000 μB/f.u. Its polymorph energy (0 for the lowest one) is 37.7 meV per atom. The corrected total energy (MP2020 scheme) comes out at -7.14 eV per atom.

a b c (Å): 6.1212 6.1212 6.1212
angles (deg): 60.00 60.00 60.00
Closest atoms and distances in Å follow each position.
Element x y z (fractional)
1 Ba 0.7500 0.7500 0.7500  12 O 3.06
2 Sr 0.2500 0.2500 0.2500  12 O 3.06
3 Y 0.5000 0.5000 0.5000  6 O 2.21
4 Bi 0.0000 0.0000 0.0000  6 O 2.11
5 O 0.7558 0.2442 0.2442  1 Bi 2.11, 1 Y 2.21
6 O 0.2442 0.7558 0.7558  1 Bi 2.11, 1 Y 2.21
7 O 0.7558 0.2442 0.7558  1 Bi 2.11, 1 Y 2.21
8 O 0.2442 0.7558 0.2442  1 Bi 2.11, 1 Y 2.21
9 O 0.7558 0.7558 0.2442  1 Bi 2.11, 1 Y 2.21
10 O 0.2442 0.2442 0.7558  1 Bi 2.11, 1 Y 2.21